(1)
Material: Rb2CeCl5
Method: DFT, PBE-GGA
State: relaxed

Calculated values
ρ   3.2 g/cm³
Space group   Pnma (62)
Raw total energy   -137.24 eV per cell

Cell: 8.2287 9.0726 13.6198 Å, 90.00 90.00 90.00°
Positions (direct):
Cl  0.3491  0.5380  0.4190
Cl  0.6509  0.4620  0.5810
Cl  0.1704  0.2500  0.1949
Cl  0.3296  0.2500  0.6949
Cl  0.0878  0.2500  0.4887
Cl  0.8491  0.4620  0.0810
Cl  0.8617  0.2500  0.8351
Cl  0.8296  0.7500  0.8051
Cl  0.6509  0.0380  0.5810
Cl  0.8491  0.0380  0.0810
Cl  0.4122  0.2500  0.9887
Cl  0.1509  0.5380  0.9190
Cl  0.6383  0.2500  0.3351
Cl  0.3617  0.7500  0.6649
Cl  0.9122  0.7500  0.5113
Cl  0.6704  0.7500  0.3051
Cl  0.1383  0.7500  0.1649
Cl  0.1509  0.9620  0.9190
Cl  0.5878  0.7500  0.0113
Cl  0.3491  0.9620  0.4190
Rb  0.4676  0.9993  0.1741
Rb  0.5324  0.4993  0.8259
Rb  0.4676  0.5007  0.1741
Rb  0.9676  0.4993  0.3259
Rb  0.9676  0.0007  0.3259
Rb  0.0324  0.5007  0.6741
Rb  0.0324  0.9993  0.6741
Rb  0.5324  0.0007  0.8259
Ce  0.5705  0.7500  0.5030
Ce  0.0705  0.2500  0.9970
Ce  0.9295  0.7500  0.0030
Ce  0.4295  0.2500  0.4970

***

(2)
Material: Rb3CeCl6
Method: DFT, PBE-GGA
State: relaxed

Calculated values
Size of the total moment   1.00 μB per formula unit
ρ   2.5 g/cm³
Space group   Fm-3m (225)
Raw total energy   -40.36 eV per cell

Cell: 8.2973 8.2973 8.2973 Å, 60.00 60.00 60.00°
Positions (direct):
Cl  0.2340  0.2340  0.7660
Cl  0.7660  0.2340  0.7660
Cl  0.7660  0.7660  0.2340
Cl  0.2340  0.7660  0.2340
Cl  0.7660  0.2340  0.2340
Cl  0.2340  0.7660  0.7660
Rb  0.7500  0.7500  0.7500
Rb  0.5000  0.5000  0.5000
Rb  0.2500  0.2500  0.2500
Ce  0.0000  0.0000  0.0000

***

(3)
Material: CeSCl
Method: DFT, PBE-GGA
State: relaxed

Calculated values
ρ   4.2 g/cm³
Space group   Pbca (61)
Raw total energy   -146.14 eV per cell

Cell: 6.8689 7.0294 13.5419 Å, 90.00 90.00 90.00°
Positions (direct):
S  0.9990  0.2586  0.4746
S  0.4990  0.2414  0.4746
S  0.9990  0.7586  0.0254
S  0.5010  0.7586  0.5254
S  0.0010  0.7414  0.5254
S  0.4990  0.7414  0.0254
S  0.5010  0.2586  0.9746
S  0.0010  0.2414  0.9746
Cl  0.8566  0.3718  0.2117
Cl  0.3566  0.6282  0.2883
Cl  0.8566  0.8718  0.2883
Cl  0.1434  0.1282  0.7117
Cl  0.6434  0.8718  0.7883
Cl  0.3566  0.1282  0.2117
Cl  0.6434  0.3718  0.7117
Cl  0.1434  0.6282  0.7883
Ce  0.2598  0.9652  0.9026
Ce  0.7598  0.0348  0.5974
Ce  0.2598  0.4652  0.5974
Ce  0.7402  0.5348  0.4026
Ce  0.2402  0.4652  0.0974
Ce  0.7598  0.5348  0.9026
Ce  0.2402  0.9652  0.4026
Ce  0.7402  0.0348  0.0974

***

(4)
Material: Ce3Si2S8Cl
Method: DFT, PBE-GGA
State: relaxed

Calculated values
Size of the total moment   3.00 μB per formula unit
ρ   3.8 g/cm³
Space group   C2/c (15)
Raw total energy   -168.51 eV per cell

Cell: 8.7702 8.7702 11.0432 Å, 83.53 83.53 52.15°
Positions (direct):
S  0.7372  0.5584  0.6597
S  0.4076  0.7238  0.4487
S  0.7117  0.8573  0.4147
S  0.1427  0.2883  0.0853
S  0.8573  0.7117  0.9147
S  0.5924  0.2762  0.5513
S  0.1040  0.6041  0.6423
S  0.8960  0.3959  0.3577
S  0.2762  0.5924  0.0513
S  0.2628  0.4416  0.3403
S  0.4416  0.2628  0.8403
S  0.5584  0.7372  0.1597
S  0.6041  0.1040  0.1423
S  0.7238  0.4076  0.9487
S  0.3959  0.8960  0.8577
S  0.2883  0.1427  0.5853
Ce  0.9269  0.6831  0.1860
Ce  0.3793  0.6207  0.7500
Ce  0.6831  0.9269  0.6860
Ce  0.6207  0.3793  0.2500
Ce  0.0731  0.3169  0.8140
Ce  0.3169  0.0731  0.3140
Si  0.3713  0.3086  0.0299
Si  0.3086  0.3713  0.5299
Si  0.6287  0.6914  0.9701
Si  0.6914  0.6287  0.4701
Cl  0.9943  0.0057  0.2500
Cl  0.0057  0.9943  0.7500